[1]
Computed, not measured: TlCl after structural relaxation at the PBE-GGA level of DFT.

Summary:
ΔE_f ... -1.30 eV per atom
Crystal system ... orthorhombic
V ... 130.7 Å³/cell

a = 4.3670 Å, b = 4.8180 Å, c = 6.5854 Å
α = 90.00°, β = 109.36°, γ = 90.00°
Closest atoms and distances in Å follow each position.
Fractional coordinates of all 4 atoms:
Cl  0.1385  0.2500  0.2771  5 Tl 3.01-3.26
Tl  0.6195  0.7500  0.2390  5 Cl 3.01-3.26
Tl  0.3805  0.2500  0.7610  5 Cl 3.01-3.26
Cl  0.8615  0.7500  0.7229  5 Tl 3.01-3.26

=====

[2]
Computed, not measured: Ca2Si5N8 after structural relaxation at the PBE-GGA level of DFT.

Summary:
ΔE_f ... -1.40 eV per atom
Size of the total moment ... 0.000 μB/atom
Crystal system ... orthorhombic
V ... 1417.8 Å³/cell

a = 9.7105 Å, b = 10.6606 Å, c = 13.6960 Å
α = 90.00°, β = 90.00°, γ = 90.00°
Closest atoms and distances in Å follow each position.
Fractional coordinates of all 120 atoms:
N  0.5422  0.5676  0.0974  2 Si 1.67-1.71
Ca  0.9406  0.1142  0.4027  4 N 2.41-2.61
Ca  0.5594  0.1142  0.9027  4 N 2.41-2.61
N  0.6433  0.2460  0.1829  3 Si 1.77-1.79
Si  0.2753  0.3990  0.6506  4 N 1.70-1.79
N  0.2490  0.7392  0.6181  2 Si 1.69-1.73
Si  0.0039  0.0208  0.7912  4 N 1.67-1.79
N  0.2299  0.9206  0.4727  2 Si 1.70-1.77
N  0.6433  0.7460  0.3171  3 Si 1.77-1.79
N  0.5422  0.0676  0.4026  2 Si 1.67-1.71
N  0.6073  0.6162  0.7979  3 Si 1.77-1.78
Si  0.0348  0.7438  0.8444  4 N 1.70-1.77
Si  0.3485  0.8300  0.5407  4 N 1.71-1.77
Si  0.2283  0.1645  0.2743  4 N 1.69-1.80
N  0.8888  0.8788  0.2778  3 Si 1.76-1.78
N  0.2510  0.7392  0.1181  2 Si 1.69-1.73
N  0.1433  0.2540  0.1829  3 Si 1.77-1.79
Si  0.7247  0.6010  0.3494  4 N 1.70-1.79
N  0.0422  0.9324  0.0974  2 Si 1.67-1.71
Si  0.5039  0.4792  0.7912  4 N 1.67-1.79
N  0.9578  0.5676  0.5974  2 Si 1.67-1.71
Ca  0.6555  0.3864  0.0150  5 N 2.41-2.66
N  0.8888  0.3788  0.2222  3 Si 1.76-1.78
Si  0.2717  0.6645  0.7257  4 N 1.69-1.80
N  0.4578  0.9324  0.5974  2 Si 1.67-1.71
N  0.2701  0.4206  0.5273  2 Si 1.70-1.77
N  0.6322  0.9779  0.2095  3 Si 1.78-1.80
N  0.0564  0.2297  0.5332  2 Si 1.70-1.74
N  0.9436  0.2703  0.0332  2 Si 1.70-1.74
N  0.1322  0.5221  0.2095  3 Si 1.78-1.80
Si  0.2247  0.8990  0.3494  4 N 1.70-1.79
Si  0.8485  0.1700  0.9593  4 N 1.71-1.77
N  0.1073  0.8838  0.7979  3 Si 1.77-1.78
Ca  0.8445  0.3864  0.5150  5 N 2.41-2.66
Si  0.7717  0.3355  0.7743  4 N 1.69-1.80
N  0.2701  0.9206  0.9727  2 Si 1.70-1.77
Si  0.0039  0.5208  0.7088  4 N 1.67-1.79
Ca  0.5594  0.6142  0.5973  4 N 2.41-2.61
N  0.2490  0.2392  0.8819  2 Si 1.69-1.73
N  0.7701  0.0794  0.5273  2 Si 1.70-1.77
Si  0.7283  0.3355  0.2743  4 N 1.69-1.80
Si  0.4652  0.7438  0.3444  4 N 1.70-1.77
N  0.4436  0.7297  0.4668  2 Si 1.70-1.74
N  0.6073  0.1162  0.7021  3 Si 1.77-1.78
N  0.4436  0.2297  0.0332  2 Si 1.70-1.74
Si  0.7717  0.8355  0.7257  4 N 1.69-1.80
N  0.1112  0.6212  0.7778  3 Si 1.76-1.78
N  0.5564  0.7703  0.9668  2 Si 1.70-1.74
Si  0.7247  0.1010  0.1506  4 N 1.70-1.79
N  0.3927  0.3838  0.2021  3 Si 1.77-1.78
N  0.7490  0.7608  0.6181  2 Si 1.69-1.73
N  0.7701  0.5794  0.9727  2 Si 1.70-1.77
Ca  0.1555  0.6136  0.4850  5 N 2.41-2.66
N  0.1322  0.0221  0.2905  3 Si 1.78-1.80
N  0.3888  0.1212  0.2222  3 Si 1.76-1.78
N  0.3567  0.7540  0.8171  3 Si 1.77-1.79
N  0.7299  0.0794  0.0273  2 Si 1.70-1.77
N  0.1433  0.7540  0.3171  3 Si 1.77-1.79
N  0.8927  0.6162  0.2979  3 Si 1.77-1.78
Si  0.5348  0.7562  0.8444  4 N 1.70-1.77
Si  0.8485  0.6700  0.5407  4 N 1.71-1.77
N  0.8678  0.9779  0.7095  3 Si 1.78-1.80
N  0.6322  0.4779  0.2905  3 Si 1.78-1.80
N  0.3888  0.6212  0.2778  3 Si 1.76-1.78
Si  0.9652  0.7562  0.3444  4 N 1.70-1.77
N  0.3678  0.5221  0.7095  3 Si 1.78-1.80
N  0.8927  0.1162  0.2021  3 Si 1.77-1.78
Si  0.2753  0.8990  0.8494  4 N 1.70-1.79
N  0.5564  0.2703  0.5332  2 Si 1.70-1.74
Ca  0.8445  0.8864  0.9850  5 N 2.41-2.66
N  0.7299  0.5794  0.4727  2 Si 1.70-1.77
Si  0.9652  0.2562  0.1556  4 N 1.70-1.77
N  0.0564  0.7297  0.9668  2 Si 1.70-1.74
Si  0.9961  0.4792  0.2912  4 N 1.67-1.79
Si  0.7753  0.6010  0.8494  4 N 1.70-1.79
Si  0.2283  0.6645  0.2257  4 N 1.69-1.80
Si  0.0348  0.2438  0.6556  4 N 1.70-1.77
N  0.0422  0.4324  0.4026  2 Si 1.67-1.71
Si  0.7753  0.1010  0.6506  4 N 1.70-1.79
Si  0.5039  0.9792  0.7088  4 N 1.67-1.79
Si  0.4961  0.0208  0.2912  4 N 1.67-1.79
N  0.8678  0.4779  0.7905  3 Si 1.78-1.80
Si  0.2717  0.1645  0.7743  4 N 1.69-1.80
Ca  0.4406  0.8858  0.0973  4 N 2.41-2.61
Si  0.9961  0.9792  0.2088  4 N 1.67-1.79
Si  0.2247  0.3990  0.1506  4 N 1.70-1.79
N  0.6112  0.3788  0.7222  3 Si 1.76-1.78
Ca  0.3445  0.6136  0.9850  5 N 2.41-2.66
Si  0.7283  0.8355  0.2257  4 N 1.69-1.80
N  0.2299  0.4206  0.0273  2 Si 1.70-1.77
N  0.7510  0.2608  0.3819  2 Si 1.69-1.73
Si  0.4961  0.5208  0.2088  4 N 1.67-1.79
N  0.1073  0.3838  0.7021  3 Si 1.77-1.78
Ca  0.6555  0.8864  0.4850  5 N 2.41-2.66
N  0.4578  0.4324  0.9026  2 Si 1.67-1.71
Ca  0.3445  0.1136  0.5150  5 N 2.41-2.66
N  0.3678  0.0221  0.7905  3 Si 1.78-1.80
Si  0.3485  0.3300  0.9593  4 N 1.71-1.77
Si  0.5348  0.2562  0.6556  4 N 1.70-1.77
N  0.3567  0.2540  0.6829  3 Si 1.77-1.79
Si  0.1515  0.3300  0.4593  4 N 1.71-1.77
Si  0.1515  0.8300  0.0407  4 N 1.71-1.77
N  0.8567  0.2460  0.6829  3 Si 1.77-1.79
Ca  0.9406  0.6142  0.0973  4 N 2.41-2.61
N  0.3927  0.8838  0.2979  3 Si 1.77-1.78
Ca  0.0594  0.8858  0.5973  4 N 2.41-2.61
N  0.9436  0.7703  0.4668  2 Si 1.70-1.74
N  0.8567  0.7460  0.8171  3 Si 1.77-1.79
Si  0.6515  0.6700  0.0407  4 N 1.71-1.77
Si  0.4652  0.2438  0.1556  4 N 1.70-1.77
N  0.7510  0.7608  0.1181  2 Si 1.69-1.73
Si  0.6515  0.1700  0.4593  4 N 1.71-1.77
N  0.9578  0.0676  0.9026  2 Si 1.67-1.71
N  0.6112  0.8788  0.7778  3 Si 1.76-1.78
N  0.1112  0.1212  0.7222  3 Si 1.76-1.78
Ca  0.0594  0.3858  0.9027  4 N 2.41-2.61
N  0.2510  0.2392  0.3819  2 Si 1.69-1.73
Ca  0.4406  0.3858  0.4027  4 N 2.41-2.61
N  0.7490  0.2608  0.8819  2 Si 1.69-1.73
Ca  0.1555  0.1136  0.0150  5 N 2.41-2.66

=====

[3]
Computed, not measured: CaTiH6O2F6 after structural relaxation at the PBE-GGA level of DFT.

Summary:
ΔE_f ... -2.18 eV per atom
Energy above the lowest structure with this stoichiometry ... 66 meV/atom
Size of the total moment ... 0.125 μB/atom
Crystal system ... monoclinic
V ... 178.8 Å³/cell

a = 5.5072 Å, b = 6.0130 Å, c = 6.3897 Å
α = 122.10°, β = 90.00°, γ = 86.63°
Closest atoms and distances in Å follow each position.
Fractional coordinates of all 16 atoms:
F  0.2312  0.8555  0.1637  1 Ti 2.08, 1 H 2.19, 1 Ca 2.20
O  0.6913  0.6589  0.3315  2 H 0.98-1.00
O  0.3087  0.3411  0.6726  2 H 0.98-1.00
F  0.7230  0.6769  0.7415  1 H 0.99
Ca  0.0000  0.0000  0.4974  4 F 2.20-2.26
H  0.5353  0.7193  0.2969  1 O 0.98
H  0.7323  0.4854  0.1766  1 O 1.00
F  0.2770  0.3231  0.0646  1 H 0.99
F  0.8042  0.2043  0.8712  1 H 1.80
H  0.2677  0.5146  0.6912  1 O 1.00
H  0.3032  0.3456  0.9231  1 F 0.99
H  0.6968  0.6544  0.5775  1 F 0.99
H  0.4647  0.2807  0.5776  1 O 0.98
F  0.1958  0.7957  0.6669  1 H 1.80
Ti  0.0000  0.0000  0.9989  4 F 2.06-2.08
F  0.7688  0.1445  0.3082  1 Ti 2.08, 1 H 2.19, 1 Ca 2.20